48
Lattice="5.605 5.592 0.000 -5.605 5.592 0.000 0.000 2.802 20.957" Properties=species:S:1:pos:R:3 comment="PBE-GGA K2Ga3CuSe6, relaxed" total_magnetization_mub_per_cell=0.0 total_energy_ev_per_atom=-3.84 vol_a3_per_atom=27.4 formation_enthalpy_0k_ev_per_atom=-1.042 pbc="T T T"
Ga -2.095 6.288 7.970
Se -0.633 7.764 6.699
Ga -0.709 4.899 18.427
Se 0.840 6.137 19.900
K 0.741 3.528 12.164
K 2.154 4.863 1.681
Ga 2.095 7.689 18.449
Se 2.159 4.969 6.657
Se -3.348 7.845 9.415
Ga -0.650 7.693 15.718
Se -0.743 2.027 6.656
Se -2.159 6.369 17.135
Se -0.743 10.557 3.823
K -0.741 2.127 1.686
Se 3.553 6.218 17.171
Se 0.633 9.165 17.178
Se 0.633 6.221 14.258
Ga -2.095 6.296 2.508
Se -3.553 4.817 6.693
Ga 2.095 7.697 12.987
Ga 0.650 6.292 5.239
Se -3.348 4.739 1.063
Se 3.553 9.168 14.264
Se -3.553 7.767 3.786
Se -0.633 4.820 3.779
Ga -0.709 10.487 13.008
K 2.154 7.721 8.798
Ga 0.709 9.086 2.530
Se -0.840 7.848 1.057
Se 2.159 7.616 3.822
Se 0.743 3.428 17.135
Ga 4.839 7.693 15.718
K 0.741 11.858 19.271
Cu 2.092 10.476 15.722
K -0.741 10.457 8.793
Cu 2.092 4.909 15.713
Ga 0.709 3.498 7.949
Se 3.348 9.246 19.894
Se 0.743 11.958 14.301
Cu -2.092 3.509 5.235
Se 0.840 9.248 11.536
Cu -2.092 9.075 5.244
Se -0.840 4.736 9.421
Ga -4.839 6.292 5.239
Se -2.159 9.016 14.301
Se 3.348 6.140 11.542
K -2.154 6.264 12.159
K -2.154 9.122 19.277